[1]
This record from the Materials Project database describes a relaxed structure of Ne. The functional is r²SCAN.

a b c (Å): 2.966 2.966 2.966
angles (deg): 60.00 60.00 60.00
Sites, in units of the cell vectors:
Ne (0.000, 0.000, 0.000)

As for the space-group type: Fm-3m (225).

[2]
This record from the Materials Project database describes a relaxed structure of NpNi2. The functional is r²SCAN.

a b c (Å): 4.997 4.997 4.997
angles (deg): 60.00 60.00 60.00
Sites, in units of the cell vectors:
Np (0.125, 0.125, 0.125)
Np (0.875, 0.875, 0.875)
Ni (0.000, 0.500, 0.500)
Ni (0.500, 0.000, 0.500)
Ni (0.500, 0.500, 0.000)
Ni (0.500, 0.500, 0.500)

As for the space-group type: Fd-3m (227).

[3]
This record from the Materials Project database describes a relaxed structure of NpSi2Ni. The functional is r²SCAN.

a b c (Å): 8.350 8.350 4.016
angles (deg): 90.26 90.26 28.10
Sites, in units of the cell vectors:
Np (0.105, 0.105, 0.250)
Np (0.895, 0.895, 0.750)
Si (0.249, 0.250, 0.754)
Si (0.461, 0.458, 0.249)
Si (0.542, 0.539, 0.751)
Si (0.750, 0.751, 0.246)
Ni (0.318, 0.321, 0.255)
Ni (0.679, 0.682, 0.745)

As for the space-group type: C2 (5).

no.,M_tot (μB/f.u.),ΔE_f (eV per atom),energy (eV/atom)
1,0.00,0.00,-1.913
2,3.85,-0.20,-35.861
3,3.91,-0.76,-28.902